Record 1
Entry from the Materials Project database: a relaxed structure of Mn3B2O6 (PBE with a Hubbard U).

The structure in POSCAR format:
```
Mn3B2O6
1.0
-0.678 -4.342 -1.647
3.018 -2.143 4.407
-7.399 -0.648 4.753
B O Mn
4 12 6
Cartesian
-5.469 -4.245 7.267
-2.992 -1.011 3.385
-2.067 -6.121 4.128
-6.989 -3.535 4.998
-1.105 -5.287 3.539
0.788 -1.781 0.985
-3.955 -1.845 3.974
-3.096 -5.462 4.818
-6.229 -4.004 3.915
1.171 -3.128 3.598
-1.397 -3.148 5.575
-4.237 -3.601 7.071
-3.661 -3.984 1.937
1.552 -4.704 1.775
-0.822 -3.531 0.441
-1.963 -1.672 2.695
0.118 -1.193 3.097
0.000 0.000 0.000
-2.529 -3.566 3.756
-2.410 -4.759 6.853
-4.500 -1.597 6.063
-2.647 -2.373 0.659
```

Results
Space-group type: Pnnm
DFT total energy, eV per atom: -8.019
Calculated formation energy, eV per atom: -2.44

Record 2
Entry from the Materials Project database: a relaxed structure of Rb2LiVO4 (PBE with a Hubbard U).

The structure in POSCAR format:
```
Rb2LiVO4
1.0
2.990 -5.993 0.000
2.990 5.993 0.000
0.000 0.000 8.008
O Li V Rb
8 2 2 4
Cartesian
1.564 1.761 1.740
2.990 1.621 7.280
2.990 -4.027 4.626
1.564 -1.761 5.744
2.990 -1.621 3.277
4.416 1.761 1.740
4.416 -1.761 5.744
2.990 4.027 0.622
2.990 -3.585 2.633
2.990 3.585 6.637
2.990 2.292 0.886
2.990 -2.292 4.890
2.990 -5.229 7.296
2.990 5.229 3.292
2.990 -1.252 0.394
2.990 1.252 4.397
```

Results
Space-group type: Cmc2_1
DFT total energy, eV per atom: -5.905
Calculated formation energy, eV per atom: -2.37
Maximum piezoelectric response, C/m²: 0.11

Record 3
Entry from the Materials Project database: a relaxed structure of KSmSnWO6 (PBE with a Hubbard U).

The structure in POSCAR format:
```
KSmSnWO6
1.0
6.016 0.000 0.000
0.000 6.016 0.000
0.000 0.000 8.480
O W Sn K Sm
12 2 2 2 2
Cartesian
1.426 1.668 4.240
4.590 4.348 4.240
4.348 1.426 0.000
3.008 0.000 6.535
1.668 4.590 0.000
1.668 1.426 0.000
1.426 4.348 4.240
4.590 1.668 4.240
4.348 4.590 0.000
3.008 0.000 1.945
0.000 3.008 2.295
0.000 3.008 6.185
0.000 3.008 4.240
3.008 0.000 0.000
3.008 3.008 2.120
3.008 3.008 6.360
0.000 0.000 2.120
0.000 0.000 6.360
0.000 3.008 0.000
3.008 0.000 4.240
```

Results
Space-group type: P4_2/mmc
DFT total energy, eV per atom: -6.828
Calculated formation energy, eV per atom: -2.44
E above lowest polymorph, meV per atom: 0

Record 4
Entry from the Materials Project database: a relaxed structure of Fe6O11F (PBE with a Hubbard U).

The structure in POSCAR format:
```
Fe6O11F
1.0
-2.217 9.066 4.331
-4.303 -7.931 -4.945
-0.482 -1.361 2.603
O Fe F
11 6 1
Cartesian
-5.875 -1.461 -0.149
-5.452 1.987 1.732
-3.053 3.425 1.226
-2.563 -1.378 0.507
-4.894 -4.937 -3.488
-2.298 0.778 1.684
-3.502 6.399 2.698
-2.978 -4.907 -1.416
-0.163 0.028 -0.015
-3.748 -2.241 -1.866
-1.848 4.302 3.610
-5.083 3.768 1.030
-5.777 0.283 0.781
-2.092 0.364 -0.197
-2.758 -3.135 -0.448
-2.063 2.529 2.643
-5.776 -1.878 -2.052
-4.158 0.724 -0.391
```

Results
Space-group type: Amm2
DFT total energy, eV per atom: -6.153
Calculated formation energy, eV per atom: -1.40
E above lowest polymorph, meV per atom: 1